DFT (PBE-GGA) results for a relaxed structure of MgTi2ZnO6.

Geometry as POSCAR:
```
MgTi2ZnO6
1.0
2.557 1.476 4.686
-2.557 1.476 4.686
0.000 -2.952 4.686
Mg Ti Zn O
1 2 1 6
direct
0.000 0.000 0.000
0.212 0.212 0.212
0.502 0.502 0.502
0.716 0.716 0.716
0.132 0.403 0.793
0.304 0.919 0.582
0.403 0.793 0.132
0.582 0.304 0.919
0.793 0.132 0.403
0.919 0.582 0.304
```

Output
Its theoretical density is 4.4 g/cm3. As for the volume: 106.1 Å³/cell. As for the corrected total energy (MP2020 scheme): -79.2 eV for the cell shown. The value obtained for the formation energy from the elements is -3083 meV/atom.

=====

DFT (PBE-GGA) results for a relaxed structure of Li2Ti6O13.

Geometry as POSCAR:
```
Li2Ti6O13
1.0
7.768 -1.895 0.000
7.768 1.895 0.000
-1.538 0.000 9.104
Li Ti O
2 6 13
direct
0.050 0.050 0.254
0.950 0.950 0.746
0.115 0.115 0.595
0.168 0.168 0.935
0.231 0.231 0.272
0.769 0.769 0.728
0.832 0.832 0.065
0.885 0.885 0.405
0.000 0.000 0.500
0.074 0.074 0.789
0.131 0.131 0.113
0.161 0.161 0.407
0.238 0.238 0.742
0.296 0.296 0.073
0.355 0.355 0.388
0.645 0.645 0.612
0.704 0.704 0.927
0.762 0.762 0.258
0.839 0.839 0.593
0.869 0.869 0.887
0.926 0.926 0.211
```

Output
Its theoretical density is 3.2 g/cm3. As for the volume: 268.0 Å³/cell. As for the corrected total energy (MP2020 scheme): -185.6 eV for the cell shown. The value obtained for the formation energy from the elements is -3338 meV/atom.

=====

DFT (PBE-GGA) results for a relaxed structure of GdTiFe9Si2.

Geometry as POSCAR:
```
GdTiFe9Si2
1.0
5.825 -2.403 0.000
5.825 2.403 0.000
-5.813 0.000 5.913
Gd Ti Fe Si
1 1 9 2
direct
0.000 0.000 0.000
0.005 0.005 0.382
0.000 0.504 0.504
0.005 0.005 0.656
0.289 0.289 0.793
0.357 0.357 0.355
0.499 0.499 0.776
0.500 0.500 0.229
0.504 0.000 0.504
0.643 0.643 0.648
0.718 0.718 0.221
0.495 0.997 0.998
0.997 0.495 0.998
```

Output
Its theoretical density is 7.7 g/cm3. As for the volume: 165.5 Å³/cell. As for the corrected total energy (MP2020 scheme): -111.8 eV for the cell shown. The value obtained for the formation energy from the elements is -215 meV/atom.

=====

DFT (PBE-GGA) results for a relaxed structure of NaSr2Nb5O15.

Geometry as POSCAR:
```
NaSr2Nb5O15
1.0
8.921 -8.930 0.000
8.921 8.930 0.000
0.000 0.000 4.079
Na Sr Nb O
2 4 10 30
direct
0.171 0.171 0.000
0.829 0.829 0.000
0.000 0.500 0.947
0.327 0.673 0.991
0.500 0.000 0.947
0.673 0.327 0.991
0.000 0.000 0.469
0.076 0.712 0.454
0.211 0.422 0.454
0.288 0.924 0.454
0.422 0.211 0.454
0.500 0.500 0.467
0.578 0.789 0.454
0.712 0.076 0.454
0.789 0.578 0.454
0.924 0.288 0.454
0.000 0.000 0.916
0.002 0.158 0.405
0.062 0.366 0.406
0.085 0.700 0.911
0.139 0.564 0.398
0.158 0.002 0.405
0.201 0.423 0.910
0.227 0.773 0.411
0.281 0.281 0.400
0.300 0.915 0.911
0.343 0.508 0.403
0.366 0.062 0.406
0.423 0.201 0.910
0.436 0.861 0.398
0.492 0.657 0.403
0.500 0.500 0.918
0.508 0.343 0.403
0.564 0.139 0.398
0.577 0.799 0.910
0.634 0.938 0.406
0.657 0.492 0.403
0.700 0.085 0.911
0.719 0.719 0.400
0.773 0.227 0.411
0.799 0.577 0.910
0.842 0.998 0.405
0.861 0.436 0.398
0.915 0.300 0.911
0.938 0.634 0.406
0.998 0.842 0.405
```

Output
Its theoretical density is 4.6 g/cm3. As for the volume: 649.9 Å³/cell. As for the corrected total energy (MP2020 scheme): -401.5 eV for the cell shown. The value obtained for the formation energy from the elements is -3101 meV/atom.

=====

DFT (PBE-GGA) results for a relaxed structure of Rb2InAuI6.

Geometry as POSCAR:
```
Rb2InAuI6
1.0
0.000 5.958 5.958
5.958 0.000 5.958
5.958 5.958 0.000
Rb In Au I
2 1 1 6
direct
0.250 0.250 0.250
0.750 0.750 0.750
0.000 0.000 0.000
0.500 0.500 0.500
0.252 0.252 0.748
0.252 0.748 0.252
0.252 0.748 0.748
0.748 0.252 0.252
0.748 0.252 0.748
0.748 0.748 0.252
```

Output
Its theoretical density is 4.9 g/cm3. As for the volume: 423.0 Å³/cell. As for the corrected total energy (MP2020 scheme): -26.9 eV for the cell shown. The value obtained for the formation energy from the elements is -982 meV/atom.

=====

DFT (PBE-GGA) results for a relaxed structure of GdMoC2.

Geometry as POSCAR:
```
GdMoC2
1.0
5.727 0.000 0.000
0.000 3.443 0.000
0.000 0.000 10.820
Gd Mo C
4 4 8
direct
0.085 0.250 0.138
0.415 0.750 0.638
0.585 0.250 0.362
0.915 0.750 0.862
0.094 0.750 0.391
0.406 0.250 0.891
0.594 0.750 0.109
0.906 0.250 0.609
0.159 0.250 0.752
0.219 0.250 0.481
0.281 0.750 0.981
0.341 0.750 0.252
0.659 0.250 0.748
0.719 0.250 0.019
0.781 0.750 0.519
0.841 0.750 0.248
```

Output
Its theoretical density is 8.6 g/cm3. As for the volume: 213.4 Å³/cell. The value obtained for the formation energy from the elements is -209 meV/atom.